Compound: AlH3O3
Source: the Materials Project
Functional: GGA-PBE
Structure: relaxed

POSCAR file:
```
AlH3O3
1.0
-1.374 2.912 -3.911
2.092 -4.509 -1.002
-4.865 -0.932 1.761
Al H O
2 6 6
direct
0.169 0.329 0.004
0.831 0.671 0.996
0.064 0.634 0.411
0.936 0.366 0.589
0.543 0.912 0.209
0.285 0.171 0.409
0.715 0.829 0.591
0.457 0.088 0.791
0.053 0.519 0.781
0.200 0.088 0.206
0.566 0.733 0.218
0.434 0.267 0.782
0.800 0.912 0.794
0.947 0.481 0.219
```

Values from the calculation:
calculated formation energy	-2.03	eV/atom
calculated volume	109.1	Å³ per cell
crystal system	triclinic